(P)
## Li2Fe3F8 (GGA+U)

Data for a geometry-optimized Li2Fe3F8 structure.

```
Li2Fe3F8
1.0
-4.891 -8.738 2.198
2.104 -2.464 -5.113
8.809 -3.706 4.872
F Li Fe
32 8 12
Direct
0.507 0.151 0.366
0.760 0.127 0.194
0.022 0.390 0.114
0.221 0.415 0.776
0.493 0.849 0.634
0.248 0.610 0.043
0.721 0.585 0.724
0.260 0.152 0.025
0.988 0.101 0.384
0.488 0.899 0.116
0.012 0.899 0.616
0.740 0.848 0.975
0.760 0.848 0.475
0.752 0.390 0.957
0.512 0.101 0.884
0.252 0.610 0.543
0.522 0.610 0.386
0.240 0.152 0.525
0.993 0.151 0.866
0.478 0.390 0.614
0.963 0.363 0.620
0.463 0.637 0.880
0.007 0.849 0.134
0.037 0.637 0.380
0.740 0.127 0.694
0.537 0.363 0.120
0.748 0.390 0.457
0.260 0.873 0.306
0.779 0.585 0.224
0.279 0.415 0.276
0.978 0.610 0.886
0.240 0.873 0.806
0.857 0.637 0.386
0.053 0.879 0.791
0.947 0.121 0.209
0.447 0.879 0.291
0.643 0.637 0.886
0.553 0.121 0.709
0.357 0.363 0.114
0.143 0.363 0.614
0.129 0.369 0.942
0.637 0.110 0.037
0.137 0.890 0.463
0.871 0.631 0.058
0.863 0.110 0.537
0.371 0.369 0.442
0.629 0.631 0.558
0.143 0.646 0.213
0.857 0.354 0.787
0.643 0.354 0.287
0.357 0.646 0.713
0.363 0.890 0.963
```

## Properties
Space group   P2_1/c (14)



(Q)
## Li2Fe3F8 (GGA+U)

Data for a geometry-optimized Li2Fe3F8 structure.

```
Li2Fe3F8
1.0
5.473 -7.332 1.355
-8.679 -2.174 -2.342
3.599 4.858 -6.999
F Fe Li
32 12 8
Direct
0.677 0.120 0.016
0.370 0.854 0.943
0.819 0.564 0.653
0.146 0.089 0.516
0.436 0.089 0.255
0.085 0.257 0.090
0.339 0.323 0.443
0.678 0.515 0.899
0.416 0.569 0.755
0.245 0.835 0.328
0.507 0.917 0.672
0.743 0.833 0.828
0.165 0.493 0.410
0.634 0.970 0.399
0.616 0.780 0.101
0.911 0.427 0.057
0.220 0.322 0.836
0.339 0.584 0.153
0.083 0.755 0.590
0.167 0.995 0.910
0.814 0.661 0.245
0.834 0.181 0.745
0.911 0.166 0.347
0.765 0.366 0.336
0.485 0.384 0.164
0.572 0.235 0.601
0.005 0.915 0.172
0.431 0.186 0.847
0.573 0.630 0.484
0.030 0.428 0.664
0.104 0.661 0.984
0.880 0.896 0.557
0.863 0.923 0.329
0.466 0.137 0.060
0.077 0.406 0.940
0.784 0.613 0.440
0.500 0.500 0.000
0.656 0.216 0.829
0.250 0.750 0.500
0.173 0.344 0.560
0.594 0.534 0.671
0.000 0.000 0.000
0.750 0.250 0.500
0.387 0.827 0.171
0.097 0.699 0.786
0.689 0.903 0.602
0.337 0.439 0.286
0.153 0.051 0.714
0.913 0.311 0.214
0.561 0.847 0.898
0.949 0.663 0.102
0.301 0.087 0.398
```

## Properties
Space group   I4_1/a (88)



Which of them is the most stable? Correct choice: (Q).



(P)
## FeP4O12 (GGA+U)

Data for a geometry-optimized FeP4O12 structure.

```
FeP4O12
1.0
5.139 0.003 -0.545
-0.777 9.933 3.131
0.005 -0.017 10.444
O P Fe
24 8 2
Direct
0.336 0.668 0.430
0.000 0.231 0.769
0.377 0.912 0.278
0.399 0.148 0.148
0.664 0.570 0.332
0.030 0.449 0.833
0.760 0.329 0.068
0.000 0.769 0.231
0.336 0.430 0.668
0.664 0.332 0.570
0.304 0.089 0.394
0.030 0.833 0.449
0.970 0.167 0.551
0.696 0.606 0.911
0.760 0.068 0.329
0.601 0.852 0.852
0.240 0.932 0.671
0.970 0.551 0.167
0.377 0.278 0.912
0.240 0.671 0.932
0.623 0.088 0.722
0.304 0.394 0.089
0.623 0.722 0.088
0.696 0.911 0.606
0.813 0.642 0.211
0.530 0.942 0.701
0.470 0.058 0.299
0.187 0.789 0.358
0.813 0.211 0.642
0.187 0.358 0.789
0.470 0.299 0.058
0.530 0.701 0.942
0.000 0.000 0.500
0.000 0.500 0.000
```

## Properties
Space group   C2/m (12)



(Q)
## FeP4O12 (GGA+U)

Data for a geometry-optimized FeP4O12 structure.

```
FeP4O12
1.0
-5.604 0.782 6.385
-1.535 -5.409 6.416
3.236 2.171 8.772
P O Fe
8 24 2
Direct
0.436 0.297 0.145
0.297 0.436 0.645
0.034 0.698 0.165
0.302 0.966 0.335
0.564 0.703 0.855
0.698 0.034 0.665
0.703 0.564 0.355
0.966 0.302 0.835
0.198 0.601 0.728
0.502 0.645 0.039
0.005 0.865 0.205
0.147 0.349 0.706
0.865 0.005 0.705
0.853 0.651 0.294
0.349 0.147 0.206
0.485 0.231 0.722
0.498 0.355 0.961
0.231 0.485 0.222
0.042 0.736 0.992
0.515 0.769 0.278
0.601 0.198 0.228
0.995 0.135 0.795
0.645 0.502 0.539
0.769 0.515 0.778
0.355 0.498 0.461
0.736 0.042 0.492
0.802 0.399 0.272
0.135 0.995 0.295
0.264 0.958 0.508
0.651 0.853 0.794
0.958 0.264 0.008
0.399 0.802 0.772
0.865 0.135 0.250
0.135 0.865 0.750
```

## Properties
Space group   C2/c (15)



Which of them is the most stable? Correct choice: (P).



(P)
## Mn2O3F (GGA+U)

Data for a geometry-optimized Mn2O3F structure.

```
Mn2O3F
1.0
3.341 4.364 0.000
-3.341 4.364 0.000
0.000 0.427 8.736
O Mn F
12 8 4
Direct
0.974 0.973 0.222
0.226 0.218 0.970
0.526 0.531 0.279
0.027 0.026 0.778
0.717 0.728 0.474
0.469 0.474 0.721
0.782 0.774 0.030
0.442 0.061 0.250
0.198 0.802 0.500
0.939 0.558 0.750
0.313 0.687 0.000
0.272 0.283 0.526
0.485 0.515 0.500
0.623 0.627 0.876
0.892 0.857 0.626
0.231 0.270 0.749
0.730 0.769 0.251
0.028 0.972 0.000
0.373 0.377 0.124
0.143 0.108 0.374
0.034 0.454 0.256
0.546 0.966 0.744
0.810 0.190 0.500
0.720 0.280 0.000
```

## Properties
Space group   C2 (5)



(Q)
## Mn2O3F (GGA+U)

Data for a geometry-optimized Mn2O3F structure.

```
Mn2O3F
1.0
3.148 -3.378 2.957
4.876 2.444 0.566
-2.347 3.819 7.602
O Mn F
12 8 4
Direct
0.464 0.464 0.719
0.693 0.307 0.000
0.027 0.027 0.780
0.307 0.693 0.000
0.932 0.553 0.756
0.973 0.973 0.220
0.722 0.722 0.482
0.447 0.068 0.244
0.068 0.447 0.244
0.553 0.932 0.756
0.278 0.278 0.518
0.536 0.536 0.281
0.000 0.000 0.000
0.862 0.862 0.639
0.244 0.244 0.740
0.756 0.756 0.260
0.393 0.393 0.132
0.500 0.500 0.500
0.138 0.138 0.361
0.607 0.607 0.868
0.237 0.237 0.973
0.763 0.763 0.027
0.180 0.820 0.500
0.820 0.180 0.500
```

## Properties
Space group   C2/m (12)



(R)
## Mn2O3F (GGA+U)

Data for a geometry-optimized Mn2O3F structure.

```
Mn2O3F
1.0
-4.869 -2.441 0.745
0.229 -5.486 -0.267
0.687 -0.350 4.519
O Mn F
6 4 2
Direct
0.844 0.346 0.308
0.158 0.158 0.808
0.156 0.654 0.692
0.346 0.844 0.308
0.654 0.156 0.692
0.842 0.842 0.192
0.500 0.500 0.500
0.000 0.500 0.000
0.500 0.000 0.000
0.000 0.000 0.500
0.641 0.641 0.785
0.359 0.359 0.215
```

## Properties
Space group   C2/m (12)



Which of them is the most stable? Correct choice: (P).



(P)
## Mn2O3F (GGA+U)

Data for a geometry-optimized Mn2O3F structure.

```
Mn2O3F
1.0
-2.392 -1.716 -3.577
4.023 0.104 -2.294
0.606 -2.798 0.937
Mn O F
2 3 1
Direct
0.488 0.512 0.500
0.016 0.984 0.000
0.302 0.308 0.000
0.692 0.698 0.000
0.194 0.806 0.500
0.807 0.193 0.500
```

## Properties
Space group   Amm2 (38)



(Q)
## Mn2O3F (GGA+U)

Data for a geometry-optimized Mn2O3F structure.

```
Mn2O3F
1.0
3.021 -6.743 0.000
3.021 6.743 0.000
0.000 0.000 6.330
F Mn O
4 8 12
Direct
0.859 0.141 0.500
0.407 0.593 0.000
0.593 0.407 0.000
0.141 0.859 0.500
0.243 0.757 0.000
0.000 0.000 0.500
0.238 0.238 0.000
0.000 0.500 0.500
0.500 0.500 0.500
0.757 0.243 0.000
0.500 0.000 0.500
0.762 0.762 0.000
0.345 0.655 0.500
0.249 0.249 0.695
0.500 0.000 0.806
0.249 0.249 0.305
0.000 0.500 0.806
0.655 0.345 0.500
0.908 0.092 0.000
0.500 0.000 0.194
0.751 0.751 0.305
0.751 0.751 0.695
0.092 0.908 0.000
0.000 0.500 0.194
```

## Properties
Space group   Cmmm (65)



Which of them is the most stable? Correct choice: (P).



(P)
## VP3O9 (GGA+U)

Data for a geometry-optimized VP3O9 structure.

```
VP3O9
1.0
3.279 6.726 0.000
-3.279 6.726 0.000
0.000 5.772 7.700
O P V
18 6 2
Direct
0.160 0.409 0.061
0.146 0.078 0.498
0.409 0.160 0.561
0.675 0.621 0.061
0.811 0.250 0.749
0.332 0.413 0.706
0.078 0.146 0.998
0.104 0.747 0.099
0.250 0.811 0.249
0.821 0.988 0.301
0.988 0.821 0.801
0.467 0.567 0.885
0.565 0.866 0.230
0.413 0.332 0.206
0.866 0.565 0.730
0.747 0.104 0.599
0.621 0.675 0.561
0.567 0.467 0.385
0.699 0.527 0.720
0.941 0.054 0.658
0.493 0.290 0.570
0.527 0.699 0.220
0.054 0.941 0.158
0.290 0.493 0.070
0.012 0.494 0.895
0.494 0.012 0.395
```

## Properties
Largest piezoelectric modulus   0.1 C/m2
Space group   Cc (9)



(Q)
## VP3O9 (GGA+U)

Data for a geometry-optimized VP3O9 structure.

```
VP3O9
1.0
9.427 0.000 0.000
-3.047 8.925 0.000
-2.396 -4.203 8.380
P O V
12 36 4
Direct
0.697 0.566 0.405
0.000 0.390 0.650
0.000 0.610 0.350
0.484 0.844 0.099
0.427 0.666 0.304
0.516 0.156 0.901
0.573 0.334 0.696
0.812 0.904 0.078
0.303 0.434 0.595
0.062 0.797 0.168
0.188 0.096 0.922
0.938 0.203 0.832
0.155 0.359 0.645
0.963 0.427 0.314
0.991 0.372 0.803
0.561 0.015 0.236
0.854 0.262 0.499
0.845 0.641 0.355
0.593 0.303 0.858
0.439 0.985 0.764
0.353 0.619 0.652
0.485 0.816 0.451
0.823 0.861 0.919
0.371 0.193 0.944
0.123 0.905 0.815
0.217 0.934 0.290
0.249 0.329 0.419
0.642 0.190 0.052
0.096 0.166 0.822
0.647 0.381 0.348
0.965 0.276 0.007
0.564 0.591 0.296
0.751 0.671 0.581
0.783 0.066 0.710
0.146 0.738 0.501
0.629 0.807 0.056
0.037 0.573 0.686
0.732 0.488 0.756
0.035 0.724 0.993
0.515 0.184 0.549
0.877 0.095 0.185
0.177 0.139 0.081
0.358 0.810 0.948
0.268 0.512 0.244
0.904 0.834 0.178
0.407 0.697 0.142
0.436 0.409 0.704
0.009 0.628 0.197
0.745 0.225 0.276
0.255 0.775 0.724
0.100 0.300 0.210
0.900 0.700 0.790
```

## Properties
Space group   P-1 (2)



Which of them is the most stable? Correct choice: (P).